1.
! PBE BaMg14Mn, relaxed; values from VASP
! Theoretical density ... 2.24 g/cm³
! Space group ... P-6m2 (187)
! Magnetization ... 4.44 μB per cell
! E ... -1.957 eV per atom
! Calculated formation energy ... 0.14 eV per atom
! Polymorph energy (0 for the lowest one) ... 9 meV per atom
&SYSTEM
  ibrav = 0, nat = 16, ntyp = 3
/
ATOMIC_SPECIES
Ba 137.33 Ba.upf
Mg 24.30 Mg.upf
Mn 54.94 Mn.upf
CELL_PARAMETERS angstrom
6.592 0.000 0.000
-3.296 5.708 0.000
0.000 0.000 10.498
ATOMIC_POSITIONS crystal
Ba 0.000 0.000 0.000
Mg 0.016 0.508 0.000
Mg 0.167 0.333 0.276
Mg 0.167 0.333 0.724
Mg 0.167 0.833 0.276
Mg 0.167 0.833 0.724
Mg 0.492 0.508 0.000
Mg 0.492 0.984 0.000
Mg 0.505 0.010 0.500
Mg 0.505 0.495 0.500
Mg 0.667 0.333 0.241
Mg 0.667 0.333 0.759
Mg 0.667 0.833 0.276
Mg 0.667 0.833 0.724
Mg 0.990 0.495 0.500
Mn 0.000 0.000 0.500

2.
! PBE PrP3O9, relaxed; values from VASP
! Piezoelectric modulus e_max ... 0.1 C/m²
! Theoretical density ... 3.43 g/cm³
! Space group ... C222_1 (20)
! E ... -7.553 eV per atom
! Calculated formation energy ... -2.99 eV per atom
&SYSTEM
  ibrav = 0, nat = 26, ntyp = 3
/
ATOMIC_SPECIES
Pr 140.91 Pr.upf
P 30.97 P.upf
O 16.00 O.upf
CELL_PARAMETERS angstrom
4.336 -5.682 0.000
4.336 5.682 0.000
0.000 0.000 7.432
ATOMIC_POSITIONS crystal
Pr 0.127 0.127 0.000
Pr 0.873 0.873 0.500
P 0.251 0.251 0.500
P 0.316 0.667 0.047
P 0.333 0.684 0.453
P 0.667 0.316 0.953
P 0.684 0.333 0.547
P 0.749 0.749 0.000
O 0.135 0.172 0.333
O 0.172 0.135 0.667
O 0.173 0.781 0.463
O 0.219 0.827 0.037
O 0.220 0.475 0.964
O 0.252 0.470 0.541
O 0.373 0.627 0.250
O 0.470 0.252 0.459
O 0.475 0.220 0.036
O 0.525 0.780 0.536
O 0.530 0.748 0.959
O 0.627 0.373 0.750
O 0.748 0.530 0.041
O 0.780 0.525 0.464
O 0.781 0.173 0.537
O 0.827 0.219 0.963
O 0.828 0.865 0.167
O 0.865 0.828 0.833

3.
! PBE FeCl3, relaxed; values from VASP
! Theoretical density ... 2.64 g/cm³
! Space group ... P-3 (147)
! Magnetization ... 120.58 μB per cell
! E ... -4.207 eV per atom
! Calculated formation energy ... -1.16 eV per atom
&SYSTEM
  ibrav = 0, nat = 96, ntyp = 2
/
ATOMIC_SPECIES
Fe 55.84 Fe.upf
Cl 35.45 Cl.upf
CELL_PARAMETERS angstrom
6.182 0.000 0.000
-3.091 5.354 0.000
0.000 0.000 73.853
ATOMIC_POSITIONS crystal
Fe 0.000 0.000 0.041
Fe 0.000 0.000 0.209
Fe 0.000 0.000 0.291
Fe 0.000 0.000 0.458
Fe 0.000 0.000 0.542
Fe 0.000 0.000 0.709
Fe 0.000 0.000 0.791
Fe 0.000 0.000 0.959
Fe 0.333 0.667 0.125
Fe 0.333 0.667 0.208
Fe 0.333 0.667 0.375
Fe 0.333 0.667 0.542
Fe 0.333 0.667 0.624
Fe 0.333 0.667 0.708
Fe 0.333 0.667 0.874
Fe 0.333 0.667 0.958
Fe 0.667 0.333 0.042
Fe 0.667 0.333 0.126
Fe 0.667 0.333 0.292
Fe 0.667 0.333 0.376
Fe 0.667 0.333 0.458
Fe 0.667 0.333 0.625
Fe 0.667 0.333 0.792
Fe 0.667 0.333 0.875
Cl 0.000 0.367 0.856
Cl 0.000 0.633 0.144
Cl 0.001 0.632 0.394
Cl 0.001 0.633 0.643
Cl 0.001 0.634 0.893
Cl 0.032 0.333 0.190
Cl 0.032 0.333 0.690
Cl 0.032 0.333 0.940
Cl 0.032 0.698 0.727
Cl 0.033 0.334 0.523
Cl 0.033 0.698 0.977
Cl 0.033 0.700 0.560
Cl 0.034 0.700 0.227
Cl 0.300 0.333 0.560
Cl 0.300 0.334 0.227
Cl 0.300 0.968 0.690
Cl 0.300 0.968 0.940
Cl 0.301 0.967 0.523
Cl 0.301 0.968 0.190
Cl 0.302 0.334 0.727
Cl 0.302 0.334 0.977
Cl 0.333 0.033 0.440
Cl 0.333 0.300 0.060
Cl 0.333 0.300 0.310
Cl 0.333 0.301 0.810
Cl 0.334 0.032 0.273
Cl 0.334 0.033 0.023
Cl 0.334 0.034 0.773
Cl 0.334 0.301 0.477
Cl 0.366 0.367 0.893
Cl 0.367 0.000 0.856
Cl 0.367 0.001 0.107
Cl 0.367 0.001 0.357
Cl 0.367 0.367 0.144
Cl 0.367 0.367 0.643
Cl 0.368 0.001 0.606
Cl 0.368 0.368 0.394
Cl 0.632 0.632 0.606
Cl 0.632 0.999 0.394
Cl 0.633 0.000 0.144
Cl 0.633 0.633 0.357
Cl 0.633 0.633 0.856
Cl 0.633 0.999 0.643
Cl 0.633 0.999 0.893
Cl 0.634 0.633 0.107
Cl 0.666 0.699 0.523
Cl 0.666 0.966 0.227
Cl 0.666 0.967 0.977
Cl 0.666 0.968 0.727
Cl 0.667 0.699 0.190
Cl 0.667 0.700 0.690
Cl 0.667 0.700 0.940
Cl 0.667 0.967 0.560
Cl 0.698 0.666 0.023
Cl 0.698 0.666 0.273
Cl 0.699 0.032 0.810
Cl 0.699 0.033 0.477
Cl 0.700 0.032 0.060
Cl 0.700 0.032 0.310
Cl 0.700 0.666 0.773
Cl 0.700 0.667 0.440
Cl 0.966 0.300 0.773
Cl 0.967 0.300 0.440
Cl 0.967 0.302 0.023
Cl 0.967 0.666 0.477
Cl 0.968 0.302 0.273
Cl 0.968 0.667 0.060
Cl 0.968 0.667 0.310
Cl 0.968 0.667 0.810
Cl 0.999 0.366 0.107
Cl 0.999 0.367 0.357
Cl 0.999 0.368 0.606

4.
! PBE Nd6AlFe13, relaxed; values from VASP
! Theoretical density ... 7.23 g/cm³
! Space group ... I4/mcm (140)
! Magnetization ... 52.80 μB per cell
! E ... -7.150 eV per atom
! Calculated formation energy ... -0.03 eV per atom
&SYSTEM
  ibrav = 0, nat = 40, ntyp = 3
/
ATOMIC_SPECIES
Nd 144.24 Nd.upf
Al 26.98 Al.upf
Fe 55.84 Fe.upf
CELL_PARAMETERS angstrom
-4.009 4.009 11.559
4.009 -4.009 11.559
4.009 4.009 -11.559
ATOMIC_POSITIONS crystal
Nd 0.023 0.523 0.172
Nd 0.107 0.107 0.000
Nd 0.149 0.977 0.500
Nd 0.351 0.851 0.828
Nd 0.393 0.393 0.000
Nd 0.477 0.649 0.500
Nd 0.523 0.351 0.500
Nd 0.607 0.607 0.000
Nd 0.649 0.149 0.172
Nd 0.851 0.023 0.500
Nd 0.893 0.893 0.000
Nd 0.977 0.477 0.828
Al 0.250 0.250 0.000
Al 0.750 0.750 0.000
Fe 0.000 0.500 0.500
Fe 0.019 0.291 0.500
Fe 0.068 0.210 0.277
Fe 0.118 0.618 0.855
Fe 0.209 0.481 0.500
Fe 0.210 0.932 0.142
Fe 0.237 0.737 0.855
Fe 0.263 0.118 0.500
Fe 0.290 0.432 0.723
Fe 0.291 0.791 0.272
Fe 0.382 0.237 0.500
Fe 0.432 0.710 0.142
Fe 0.481 0.981 0.272
Fe 0.500 0.000 0.500
Fe 0.519 0.019 0.728
Fe 0.568 0.290 0.858
Fe 0.618 0.763 0.500
Fe 0.709 0.209 0.728
Fe 0.710 0.568 0.277
Fe 0.737 0.882 0.500
Fe 0.763 0.263 0.145
Fe 0.790 0.068 0.858
Fe 0.791 0.519 0.500
Fe 0.882 0.382 0.145
Fe 0.932 0.790 0.723
Fe 0.981 0.709 0.500

5.
! PBE NbTe4, relaxed; values from VASP
! Theoretical density ... 6.58 g/cm³
! Space group ... P4/mcc (124)
! E ... -4.854 eV per atom
! Calculated formation energy ... -0.66 eV per atom
! Polymorph energy (0 for the lowest one) ... 15 meV per atom
&SYSTEM
  ibrav = 0, nat = 10, ntyp = 2
/
ATOMIC_SPECIES
Nb 92.91 Nb.upf
Te 127.60 Te.upf
CELL_PARAMETERS angstrom
6.613 0.000 0.000
0.000 6.613 0.000
0.000 0.000 6.967
ATOMIC_POSITIONS crystal
Nb 0.000 0.000 0.250
Nb 0.000 0.000 0.750
Te 0.141 0.323 0.000
Te 0.141 0.677 0.500
Te 0.323 0.141 0.500
Te 0.323 0.859 0.000
Te 0.677 0.141 0.000
Te 0.677 0.859 0.500
Te 0.859 0.323 0.500
Te 0.859 0.677 0.000

6.
! PBE U2Re2C3, relaxed; values from VASP
! Theoretical density ... 15.47 g/cm³
! Space group ... C2/m (12)
! Magnetization ... 0.01 μB per cell
! E ... -10.819 eV per atom
! Calculated formation energy ... -0.08 eV per atom
! Polymorph energy (0 for the lowest one) ... 97 meV per atom
&SYSTEM
  ibrav = 0, nat = 14, ntyp = 3
/
ATOMIC_SPECIES
U 238.03 U.upf
Re 186.21 Re.upf
C 12.01 C.upf
CELL_PARAMETERS angstrom
11.562 0.000 0.000
0.000 3.042 0.000
-1.464 0.000 5.397
ATOMIC_POSITIONS crystal
U 0.102 0.000 0.327
U 0.398 0.500 0.673
U 0.602 0.500 0.327
U 0.898 0.000 0.673
Re 0.155 0.500 0.870
Re 0.345 0.000 0.130
Re 0.655 0.000 0.870
Re 0.845 0.500 0.130
C 0.000 0.500 0.000
C 0.246 0.000 0.740
C 0.254 0.500 0.260
C 0.500 0.000 0.000
C 0.746 0.500 0.740
C 0.754 0.000 0.260

7.
! PBE BaCaCo2N4, relaxed; values from VASP
! Theoretical density ... 2.84 g/cm³
! Space group ... Pna2_1 (33)
! Magnetization ... 0.00 μB per cell
! E ... -6.171 eV per atom
! Calculated formation energy ... 0.08 eV per atom
&SYSTEM
  ibrav = 0, nat = 32, ntyp = 4
/
ATOMIC_SPECIES
Ba 137.33 Ba.upf
Ca 40.08 Ca.upf
Co 58.93 Co.upf
N 14.01 N.upf
CELL_PARAMETERS angstrom
12.625 0.000 0.000
0.000 8.103 0.000
0.000 0.000 8.026
ATOMIC_POSITIONS crystal
Ba 0.086 0.215 0.000
Ba 0.414 0.715 0.500
Ba 0.586 0.285 0.000
Ba 0.914 0.785 0.500
Ca 0.196 0.649 0.887
Ca 0.304 0.149 0.387
Ca 0.696 0.851 0.887
Ca 0.804 0.351 0.387
Co 0.014 0.373 0.625
Co 0.016 0.160 0.422
Co 0.484 0.660 0.922
Co 0.486 0.873 0.125
Co 0.514 0.127 0.625
Co 0.516 0.340 0.422
Co 0.984 0.840 0.922
Co 0.986 0.627 0.125
N 0.103 0.541 0.115
N 0.104 0.902 0.879
N 0.121 0.420 0.722
N 0.126 0.126 0.326
N 0.374 0.626 0.826
N 0.379 0.920 0.222
N 0.396 0.402 0.379
N 0.397 0.041 0.615
N 0.603 0.959 0.115
N 0.604 0.598 0.879
N 0.621 0.080 0.722
N 0.626 0.374 0.326
N 0.874 0.874 0.826
N 0.879 0.580 0.222
N 0.896 0.098 0.379
N 0.897 0.459 0.615

8.
! PBE Lu2Fe12P7, relaxed; values from VASP
! Theoretical density ... 8.21 g/cm³
! Space group ... Pm (6)
! Magnetization ... 1.10 μB per cell
! E ... -7.793 eV per atom
! Calculated formation energy ... -0.72 eV per atom
&SYSTEM
  ibrav = 0, nat = 21, ntyp = 3
/
ATOMIC_SPECIES
Lu 174.97 Lu.upf
Fe 55.84 Fe.upf
P 30.97 P.upf
CELL_PARAMETERS angstrom
8.929 0.000 0.000
0.000 3.619 0.000
-4.457 0.000 7.739
ATOMIC_POSITIONS crystal
Lu 0.000 0.000 0.000
Lu 0.333 0.500 0.666
Fe 0.038 0.500 0.277
Fe 0.100 0.000 0.718
Fe 0.239 0.500 0.962
Fe 0.282 0.000 0.382
Fe 0.451 0.000 0.213
Fe 0.510 0.500 0.452
Fe 0.547 0.500 0.057
Fe 0.618 0.000 0.900
Fe 0.723 0.500 0.761
Fe 0.762 0.000 0.549
Fe 0.787 0.000 0.238
Fe 0.942 0.500 0.490
P 0.070 0.000 0.447
P 0.254 0.500 0.217
P 0.377 0.000 0.930
P 0.552 0.000 0.622
P 0.666 0.500 0.333
P 0.783 0.500 0.037
P 0.963 0.500 0.746